No. 1
This record from the Materials Project describes a relaxed Li5Co3Sb2O10 crystal. The functional is PBE+U.

Properties
excess energy over the best structure of this formula in the dataset	0.00	eV per formula unit
DFT formation energy	-1.85	eV/atom
magnetization	0.00	μB per formula unit
space-group type	No. 2

abc: 5.294 10.508 8.094
angles: 106.89 76.40 78.54
Atoms (fractional coordinates):
Li 0.000 0.500 0.500
Li 0.000 0.000 0.500
Li 0.506 0.581 0.394
Li 0.506 0.081 0.394
Li 0.494 0.419 0.606
Li 0.494 0.919 0.606
Li 0.493 0.692 0.803
Li 0.493 0.192 0.803
Li 0.507 0.308 0.197
Li 0.507 0.808 0.197
Co 0.500 0.500 0.000
Co 0.996 0.590 0.908
Co 0.004 0.410 0.092
Co 0.500 0.000 0.000
Co 0.996 0.090 0.908
Co 0.004 0.910 0.092
Sb 0.005 0.794 0.700
Sb 0.005 0.294 0.700
Sb 0.995 0.206 0.300
Sb 0.995 0.706 0.300
O 0.244 0.884 0.826
O 0.244 0.384 0.825
O 0.756 0.116 0.174
O 0.756 0.616 0.175
O 0.754 0.797 0.933
O 0.755 0.297 0.933
O 0.246 0.203 0.067
O 0.245 0.703 0.067
O 0.783 0.704 0.546
O 0.782 0.204 0.546
O 0.217 0.296 0.454
O 0.218 0.796 0.454
O 0.247 0.516 0.245
O 0.248 0.016 0.245
O 0.753 0.484 0.755
O 0.752 0.984 0.755
O 0.238 0.607 0.657
O 0.238 0.107 0.656
O 0.762 0.393 0.343
O 0.762 0.893 0.344

No. 2
This record from the Materials Project describes a relaxed Li2NiBO4 crystal. The functional is PBE+U.

Properties
excess energy over the best structure of this formula in the dataset	0.06	eV per formula unit
DFT formation energy	-2.04	eV/atom
magnetization	0.00	μB per formula unit
piezoelectric modulus e_max	0.162	C/m2

abc: 6.158 7.138 6.902
angles: 90.00 90.00 90.00
Atoms (fractional coordinates):
Li 0.500 0.500 0.179
Li 0.500 0.000 0.679
Li 0.000 0.500 0.821
Li 0.000 0.000 0.321
Li 0.750 0.192 0.000
Li 0.750 0.692 0.500
Li 0.250 0.808 0.000
Li 0.250 0.308 0.500
Ni 0.250 0.689 0.500
Ni 0.750 0.811 0.000
Ni 0.250 0.189 0.000
Ni 0.750 0.311 0.500
B 0.000 0.500 0.185
B 0.000 0.000 0.685
B 0.500 0.500 0.815
B 0.500 0.000 0.315
O 0.201 0.509 0.303
O 0.201 0.009 0.803
O 0.799 0.491 0.303
O 0.799 0.991 0.803
O 0.701 0.491 0.697
O 0.701 0.991 0.197
O 0.299 0.509 0.697
O 0.299 0.009 0.197
O 0.010 0.332 0.053
O 0.010 0.832 0.553
O 0.990 0.668 0.053
O 0.990 0.168 0.553
O 0.490 0.332 0.947
O 0.490 0.832 0.447
O 0.510 0.668 0.947
O 0.510 0.168 0.447

No. 3
This record from the Materials Project describes a relaxed Mn3O2F4 crystal. The functional is PBE+U.

Properties
excess energy over the best structure of this formula in the dataset	0.29	eV per formula unit
DFT formation energy	-2.51	eV/atom
magnetization	13.00	μB per formula unit
space-group type	No. 1

abc: 4.753 5.826 7.941
angles: 87.18 88.42 87.51
Atoms (fractional coordinates):
Mn 0.527 0.511 0.004
Mn 0.503 0.830 0.661
Mn 0.466 0.186 0.348
Mn 0.002 0.338 0.674
Mn 0.003 0.651 0.311
Mn 0.986 0.989 0.006
O 0.815 0.697 0.100
O 0.701 0.540 0.769
O 0.298 0.131 0.572
O 0.310 0.472 0.224
F 0.806 0.361 0.442
F 0.799 0.044 0.768
F 0.688 0.191 0.122
F 0.707 0.862 0.425
F 0.301 0.804 0.890
F 0.188 0.630 0.547
F 0.204 0.967 0.234
F 0.197 0.296 0.906

No. 4
This record from the Materials Project describes a relaxed Mn3O4 crystal. The functional is PBE+U.

Properties
DFT formation energy	-1.83	eV/atom
magnetization	13.00	μB per formula unit
space-group type	No. 57

abc: 3.169 12.023 10.829
angles: 90.00 90.00 90.00
Atoms (fractional coordinates):
Mn 0.249 0.250 0.555
Mn 0.751 0.750 0.445
Mn 0.249 0.750 0.945
Mn 0.751 0.250 0.055
Mn 0.746 0.466 0.624
Mn 0.254 0.966 0.376
Mn 0.746 0.534 0.876
Mn 0.254 0.034 0.124
Mn 0.254 0.534 0.376
Mn 0.746 0.034 0.624
Mn 0.254 0.466 0.124
Mn 0.746 0.966 0.876
O 0.243 0.500 0.750
O 0.757 0.000 0.250
O 0.757 0.500 0.250
O 0.243 0.000 0.750
O 0.749 0.250 0.646
O 0.251 0.750 0.354
O 0.749 0.750 0.854
O 0.251 0.250 0.146
O 0.248 0.405 0.517
O 0.752 0.905 0.483
O 0.248 0.595 0.983
O 0.752 0.095 0.017
O 0.752 0.595 0.483
O 0.248 0.095 0.517
O 0.752 0.405 0.017
O 0.248 0.905 0.983

No. 5
This record from the Materials Project describes a relaxed Ca3Y9Al18CrSiO48 crystal. The functional is PBE+U.

Properties
DFT formation energy	-3.54	eV/atom
magnetization	1.01	μB per formula unit
space-group type	No. 1

abc: 10.499 10.502 10.504
angles: 109.33 109.31 109.56
Atoms (fractional coordinates):
Ca 0.118 0.871 0.242
Ca 0.628 0.252 0.878
Ca 0.245 0.618 0.373
Y 0.369 0.743 0.119
Y 0.755 0.381 0.628
Y 0.881 0.131 0.759
Y 0.748 0.875 0.121
Y 0.625 0.372 0.248
Y 0.875 0.754 0.629
Y 0.127 0.249 0.372
Y 0.374 0.625 0.747
Y 0.254 0.127 0.877
Al 0.373 0.128 0.251
Al 0.251 0.377 0.127
Al 0.499 0.500 0.499
Al 0.124 0.749 0.874
Al 0.751 0.126 0.372
Al 0.629 0.751 0.374
Al 0.002 0.001 0.003
Al 0.125 0.375 0.750
Al 0.001 0.001 0.503
Al 0.499 0.501 0.999
Al 0.004 0.498 0.499
Al 0.371 0.250 0.628
Al 0.873 0.250 0.124
Al 0.249 0.872 0.630
Al 0.500 0.002 0.001
Al 0.750 0.625 0.875
Al 0.626 0.871 0.750
Al 0.997 0.498 0.998
Cr 0.496 0.999 0.499
Si 0.875 0.627 0.250
O 0.116 0.694 0.016
O 0.523 0.321 0.403
O 0.700 0.581 0.679
O 0.387 0.983 0.304
O 0.199 0.520 0.116
O 0.488 0.810 0.383
O 0.698 0.119 0.519
O 0.597 0.981 0.180
O 0.979 0.600 0.675
O 0.802 0.323 0.421
O 0.822 0.922 0.801
O 0.404 0.384 0.082
O 0.979 0.381 0.797
O 0.621 0.600 0.419
O 0.578 0.699 0.178
O 0.418 0.119 0.100
O 0.821 0.904 0.522
O 0.102 0.181 0.981
O 0.898 0.075 0.379
O 0.320 0.800 0.920
O 0.119 0.418 0.599
O 0.081 0.180 0.701
O 0.691 0.497 0.112
O 0.080 0.901 0.882
O 0.918 0.098 0.117
O 0.320 0.520 0.900
O 0.911 0.808 0.302
O 0.885 0.585 0.392
O 0.680 0.202 0.086
O 0.099 0.919 0.619
O 0.896 0.821 0.016
O 0.177 0.099 0.485
O 0.582 0.883 0.901
O 0.421 0.303 0.824
O 0.383 0.400 0.581
O 0.002 0.611 0.196
O 0.598 0.619 0.919
O 0.180 0.083 0.200
O 0.199 0.679 0.583
O 0.016 0.395 0.321
O 0.398 0.015 0.822
O 0.311 0.890 0.490
O 0.514 0.194 0.610
O 0.803 0.482 0.879
O 0.616 0.013 0.690
O 0.303 0.415 0.320
O 0.485 0.678 0.601
O 0.885 0.299 0.979

No. 6
This record from the Materials Project describes a relaxed La2TeMo6O42 crystal. The functional is PBE+U.

Properties
DFT formation energy	-0.97	eV/atom
magnetization	10.00	μB per formula unit
space-group type	No. 2

abc: 8.614 10.729 10.608
angles: 102.99 107.62 104.83
Atoms (fractional coordinates):
La 0.520 0.278 0.748
La 0.480 0.722 0.252
Te 0.000 0.500 0.500
Mo 0.923 0.795 0.557
Mo 0.077 0.205 0.443
Mo 0.859 0.605 0.751
Mo 0.141 0.395 0.249
Mo 0.034 0.675 0.291
Mo 0.966 0.325 0.709
O 0.052 0.672 0.655
O 0.948 0.328 0.345
O 0.819 0.420 0.559
O 0.181 0.580 0.441
O 0.140 0.423 0.621
O 0.860 0.577 0.379
O 0.757 0.682 0.618
O 0.243 0.318 0.382
O 0.986 0.492 0.176
O 0.014 0.508 0.824
O 0.083 0.819 0.467
O 0.917 0.181 0.533
O 0.020 0.943 0.696
O 0.980 0.057 0.304
O 0.740 0.816 0.429
O 0.260 0.184 0.571
O 0.664 0.491 0.757
O 0.336 0.509 0.243
O 0.945 0.744 0.902
O 0.055 0.256 0.098
O 0.240 0.755 0.275
O 0.760 0.245 0.725
O 0.875 0.712 0.179
O 0.125 0.288 0.821
O 0.449 0.932 0.597
O 0.551 0.068 0.403
O 0.614 0.447 0.024
O 0.386 0.553 0.976
O 0.403 0.187 0.943
O 0.597 0.813 0.057
O 0.505 0.167 0.432
O 0.495 0.833 0.568
O 0.435 0.512 0.882
O 0.565 0.488 0.118
O 0.671 0.087 0.887
O 0.329 0.913 0.113
O 0.555 0.817 0.928
O 0.445 0.183 0.072
O 0.226 0.974 0.116
O 0.774 0.026 0.884
O 0.421 0.846 0.875
O 0.579 0.154 0.125

No. 7
This record from the Materials Project describes a relaxed Li9Mn2Co5O16 crystal. The functional is PBE+U.

Properties
excess energy over the best structure of this formula in the dataset	0.85	eV per formula unit
DFT formation energy	-1.84	eV/atom
magnetization	12.00	μB per formula unit
space-group type	No. 1

abc: 5.897 5.904 8.590
angles: 88.05 70.69 86.60
Atoms (fractional coordinates):
Li 0.126 0.249 0.251
Li 0.249 0.996 0.496
Li 0.625 0.251 0.248
Li 0.759 0.997 0.491
Li 0.876 0.750 0.749
Li 0.372 0.750 0.752
Li 0.491 0.505 0.008
Li 0.002 0.504 0.004
Li 0.126 0.748 0.248
Mn 0.000 0.996 0.004
Mn 0.754 0.505 0.500
Co 0.253 0.503 0.495
Co 0.374 0.250 0.750
Co 0.493 0.993 0.003
Co 0.626 0.750 0.251
Co 0.875 0.250 0.750
O 0.884 0.003 0.233
O 0.988 0.715 0.502
O 0.403 0.985 0.234
O 0.518 0.745 0.494
O 0.641 0.489 0.742
O 0.147 0.483 0.734
O 0.241 0.220 0.992
O 0.768 0.242 0.985
O 0.368 0.501 0.267
O 0.507 0.281 0.512
O 0.850 0.514 0.265
O 0.979 0.256 0.511
O 0.106 0.012 0.758
O 0.600 0.016 0.767
O 0.759 0.777 0.006
O 0.238 0.762 0.997

No. 8
This record from the Materials Project describes a relaxed Na2CoP2O7 crystal. The functional is PBE+U.

Properties
excess energy over the best structure of this formula in the dataset	0.32	eV per formula unit
DFT formation energy	-2.45	eV/atom
magnetization	3.00	μB per formula unit
space-group type	No. 1

abc: 6.546 9.553 11.069
angles: 64.68 85.93 73.43
Atoms (fractional coordinates):
Na 0.780 0.148 0.890
Na 0.603 0.877 0.650
Na 0.035 0.813 0.478
Na 0.844 0.488 0.946
Na 0.394 0.506 0.034
Na 0.968 0.184 0.522
Na 0.389 0.124 0.349
Na 0.174 0.854 0.097
Co 0.281 0.105 0.781
Co 0.720 0.888 0.224
Co 0.643 0.499 0.266
Co 0.363 0.493 0.740
P 0.120 0.545 0.316
P 0.883 0.445 0.690
P 0.922 0.178 0.209
P 0.423 0.297 0.543
P 0.707 0.806 0.963
P 0.079 0.817 0.792
P 0.579 0.697 0.461
P 0.299 0.183 0.041
O 0.227 0.101 0.967
O 0.722 0.321 0.186
O 0.084 0.270 0.098
O 0.308 0.538 0.224
O 0.968 0.455 0.305
O 0.016 0.718 0.300
O 0.283 0.679 0.809
O 0.358 0.144 0.563
O 0.036 0.097 0.347
O 0.783 0.545 0.537
O 0.621 0.663 0.049
O 0.886 0.060 0.159
O 0.444 0.292 0.684
O 0.614 0.318 0.458
O 0.959 0.898 0.656
O 0.035 0.529 0.712
O 0.778 0.886 0.039
O 0.639 0.851 0.441
O 0.388 0.323 0.950
O 0.389 0.673 0.547
O 0.563 0.699 0.322
O 0.924 0.721 0.905
O 0.438 0.063 0.168
O 0.114 0.934 0.843
O 0.567 0.929 0.836
O 0.695 0.451 0.783
O 0.224 0.452 0.469
O 0.984 0.274 0.703

Electronic total energy (computed, eV per atom): -5.692; -5.884; -6.599; -7.474; -7.909; -6.202; -5.828; -6.510